The following is a DFT calculation (PBE+U) of Sr2MnZn2As2O2 after structural relaxation.

Computed properties:
- Total magnetization: 9.86 μB/cell
- V: 332.73 Å³/cell
- Formation energy: -1.507 eV per atom

a b c (Å): 4.1995 4.1995 18.8670
angles (deg): 90.00 90.00 90.00
Space group I4/mmm (No. 139)
Inequivalent atoms, fractional coordinates:
Sr (0.0000, 0.0000, 0.0865) [4 per cell]
Mn (0.0000, 0.0000, 0.5000) [2 per cell]
Zn (0.0000, 0.5000, 0.2500) [4 per cell]
As (0.0000, 0.0000, 0.3313) [4 per cell]
O (0.0000, 0.5000, 0.0000) [4 per cell]